The following is a r²SCAN calculation of Yb2In8Ir after structural relaxation, from the Materials Project database.

Cell: 4.6025 4.6025 11.9994 Å, 90.00 90.00 90.00°
Positions (direct):
1 Yb 0.5000 0.5000 0.1921
2 Yb 0.5000 0.5000 0.8079
3 In 0.0000 0.5000 0.6247
4 In 0.0000 0.0000 0.1902
5 In 0.0000 0.5000 0.3753
6 In 0.5000 0.0000 0.6247
7 In 0.0000 0.0000 0.8098
8 In 0.5000 0.0000 0.3753
9 In 0.0000 0.5000 0.0000
10 In 0.5000 0.0000 0.0000
11 Ir 0.5000 0.5000 0.5000

Output
DFT total energy   -28.27 eV per atom
DFT formation energy   -0.444 eV/atom